Below is a relaxed EuAlO3 crystal, with properties calculated at the PBE-GGA level.

As for the magnetization: 6.00 μB per formula unit. The calculation puts the uncorrected energy at -8.679 eV/atom.

The space group is Pm-3m (No. 221) and the conventional cell measures 3.7682, 3.7682 and 3.7682 Å, with angles of 90.00, 90.00 and 90.00 degrees. The distinct sites, in fractional coordinates, are Eu at (0.0000, 0.0000, 0.0000), Al at (0.5000, 0.5000, 0.5000) and O at (0.0000, 0.5000, 0.5000).

***

Below is a relaxed Pr3Nd crystal, with properties calculated at the PBE-GGA level.

The calculation puts the uncorrected energy at -4.764 eV/atom.

The space group is I4/mmm (No. 139) and the conventional cell measures 5.2632, 5.2632 and 10.5340 Å, with angles of 90.00, 90.00 and 90.00 degrees. The distinct sites, in fractional coordinates, are Pr at (0.0000, 0.0000, 0.0000), Pr at (0.0000, 0.5000, 0.2500) and Nd at (0.0000, 0.0000, 0.5000).

***

| no. | calculated volume (Å³ per atom) | ΔH_f (0 K) (eV per atom) |
| --- | --- | --- |
| 1 | 10.70 | -3.322 |
| 2 | 36.48 | 0.013 |